Ba2SmFeO6: optimized geometry, PBE+U.

Cell: 5.9522 5.9522 5.9522 Å, 60.00 60.00 60.00°
Last column: nearest neighbours and their distance in Å.
Sites, in units of the cell vectors:
Ba  0.2500  0.2500  0.2500  12 O 2.98
Ba  0.7500  0.7500  0.7500  12 O 2.98
Sm  0.5000  0.5000  0.5000  6 O 2.28
Fe  0.0000  0.0000  0.0000  6 O 1.93
O  0.7707  0.2293  0.2293  1 Fe 1.93
O  0.2293  0.7707  0.7707  1 Fe 1.93
O  0.7707  0.2293  0.7707  1 Fe 1.93
O  0.2293  0.7707  0.2293  1 Fe 1.93
O  0.7707  0.7707  0.2293  1 Fe 1.93
O  0.2293  0.2293  0.7707  1 Fe 1.93

Results
Magnetization   3.0 μB per formula unit
Crystal system   cubic

Ba2Sm2Fe4O11: optimized geometry, PBE+U.

Cell: 8.8522 8.8522 3.9416 Å, 90.00 90.00 125.89°
Last column: nearest neighbours and their distance in Å.
Sites, in units of the cell vectors:
Ba  0.0000  0.5000  0.5000  10 O 2.82-3.04
Ba  0.5000  0.0000  0.5000  10 O 2.82-3.04
Sm  0.2286  0.2286  0.5000  10 O 2.56-2.70
Sm  0.7714  0.7714  0.5000  10 O 2.56-2.70
Fe  0.6239  0.3761  0.0000  5 O 1.95-2.04
Fe  0.8771  0.1229  0.0000  6 O 1.94-2.11
Fe  0.1229  0.8771  0.0000  6 O 1.94-2.11
Fe  0.3761  0.6239  0.0000  5 O 1.95-2.04
O  0.8442  0.6383  0.0000  2 Fe 1.97-2.11
O  0.1558  0.3617  0.0000  2 Fe 1.97-2.11
O  0.2525  0.7475  0.0000  2 Fe 1.95-2.04
O  0.5903  0.4097  0.5000  2 Fe 2.04
O  0.1160  0.8840  0.5000  2 Fe 1.97
O  0.3617  0.1558  0.0000  2 Fe 1.97-2.11
O  0.6383  0.8442  0.0000  2 Fe 1.97-2.11
O  0.7475  0.2525  0.0000  2 Fe 1.95-2.04
O  0.8840  0.1160  0.5000  2 Fe 1.97
O  0.0000  0.0000  0.0000  2 Fe 1.94
O  0.4097  0.5903  0.5000  2 Fe 2.04

Results
Magnetization   20.0 μB per formula unit
Crystal system   orthorhombic

BaSrSmFeO6: optimized geometry, PBE+U.

Cell: 5.8894 5.8894 5.8894 Å, 60.00 60.00 60.00°
Last column: nearest neighbours and their distance in Å.
Sites, in units of the cell vectors:
Ba  0.7500  0.7500  0.7500  12 O 2.95
Sr  0.2500  0.2500  0.2500  12 O 2.95
Sm  0.5000  0.5000  0.5000  6 O 2.26
Fe  0.0000  0.0000  0.0000  6 O 1.90
O  0.7716  0.2284  0.2284  1 Fe 1.90
O  0.2284  0.7716  0.7716  1 Fe 1.90
O  0.7716  0.2284  0.7716  1 Fe 1.90
O  0.2284  0.7716  0.2284  1 Fe 1.90
O  0.7716  0.7716  0.2284  1 Fe 1.90
O  0.2284  0.2284  0.7716  1 Fe 1.90

Results
Magnetization   3.0 μB per formula unit
Crystal system   cubic

Ba3Fe10SnO20: optimized geometry, PBE+U.

Cell: 10.1046 10.1046 5.3043 Å, 75.68 75.68 73.09°
Last column: nearest neighbours and their distance in Å.
Sites, in units of the cell vectors:
Ba  0.5000  0.5000  0.5000  6 O 2.67-2.84
Ba  0.2215  0.2215  0.7645  5 O 2.64-2.82
Ba  0.7785  0.7785  0.2355  5 O 2.64-2.82
Fe  0.0804  0.6475  0.6606  4 O 1.88-1.93
Fe  0.6475  0.0804  0.6606  4 O 1.88-1.93
Fe  0.9196  0.3525  0.3394  4 O 1.88-1.93
Fe  0.3525  0.9196  0.3394  4 O 1.88-1.93
Fe  0.2173  0.4966  0.1519  4 O 1.88-1.94
Fe  0.4966  0.2173  0.1519  4 O 1.88-1.94
Fe  0.7827  0.5034  0.8481  4 O 1.88-1.94
Fe  0.5034  0.7827  0.8481  4 O 1.88-1.94
Fe  0.8706  0.1294  0.0000  6 O 1.99-2.02
Fe  0.1294  0.8706  0.0000  6 O 1.99-2.02
Sn  0.0000  0.0000  0.5000  6 O 2.06-2.10
O  0.1010  0.3771  0.1746  2 Fe 1.88
O  0.3771  0.1010  0.1746  2 Fe 1.88
O  0.8990  0.6229  0.8254  2 Fe 1.88
O  0.6229  0.8990  0.8254  2 Fe 1.88
O  0.1621  0.6786  0.9269  3 Fe 1.93-1.99
O  0.6786  0.1621  0.9269  3 Fe 1.93-1.99
O  0.8379  0.3214  0.0731  3 Fe 1.93-1.99
O  0.3214  0.8379  0.0731  3 Fe 1.93-1.99
O  0.0628  0.0628  0.0982  2 Fe 2.02, 1 Sn 2.06
O  0.9372  0.9372  0.9018  2 Fe 2.02, 1 Sn 2.06
O  0.2178  0.5006  0.5100  2 Fe 1.90-1.91
O  0.5006  0.2178  0.5100  2 Fe 1.90-1.91
O  0.7822  0.4994  0.4900  2 Fe 1.90-1.91
O  0.4994  0.7822  0.4900  2 Fe 1.90-1.91
O  0.4006  0.4006  0.0055  2 Fe 1.89
O  0.5994  0.5994  0.9945  2 Fe 1.89
O  0.9511  0.1944  0.6217  2 Fe 1.91-1.99, 1 Sn 2.10
O  0.1944  0.9511  0.6217  2 Fe 1.91-1.99, 1 Sn 2.10
O  0.0489  0.8056  0.3783  2 Fe 1.91-1.99, 1 Sn 2.10
O  0.8056  0.0489  0.3783  2 Fe 1.91-1.99, 1 Sn 2.10

Results
Magnetization   50.0 μB per formula unit
Crystal system   monoclinic

Ba3Fe8Sn3O20: optimized geometry, PBE+U.

Cell: 10.1951 10.1951 5.3660 Å, 77.00 77.00 72.74°
Last column: nearest neighbours and their distance in Å.
Sites, in units of the cell vectors:
Ba  0.2278  0.2278  0.2672  5 O 2.76-2.88
Ba  0.7722  0.7722  0.7328  5 O 2.76-2.88
Ba  0.5000  0.5000  0.0000  6 O 2.78-2.91
Fe  0.3607  0.9219  0.8421  4 O 1.80-1.99
Fe  0.6393  0.0781  0.1579  4 O 1.80-1.99
Fe  0.0781  0.6393  0.1579  4 O 1.80-1.99
Fe  0.9219  0.3607  0.8421  4 O 1.80-1.99
Fe  0.4862  0.2176  0.6575  4 O 1.87-1.97
Fe  0.5138  0.7824  0.3425  4 O 1.87-1.97
Fe  0.7824  0.5138  0.3425  4 O 1.87-1.97
Fe  0.2176  0.4862  0.6575  4 O 1.87-1.97
Sn  0.0000  0.0000  0.0000  6 O 2.08-2.10
Sn  0.1433  0.8567  0.5000  6 O 2.04-2.21
Sn  0.8567  0.1433  0.5000  6 O 2.04-2.21
O  0.6636  0.1714  0.4154  2 Fe 1.94-1.97, 1 Sn 2.04
O  0.3364  0.8286  0.5846  2 Fe 1.94-1.97, 1 Sn 2.04
O  0.8286  0.3364  0.5846  2 Fe 1.94-1.97, 1 Sn 2.04
O  0.1714  0.6636  0.4154  2 Fe 1.94-1.97, 1 Sn 2.04
O  0.0666  0.0666  0.6086  3 Sn 2.08-2.21
O  0.9334  0.9334  0.3914  3 Sn 2.08-2.21
O  0.3988  0.3988  0.5114  2 Fe 1.87
O  0.6012  0.6012  0.4886  2 Fe 1.87
O  0.3737  0.0964  0.6972  2 Fe 1.80-1.87
O  0.6263  0.9036  0.3028  2 Fe 1.80-1.87
O  0.9036  0.6263  0.3028  2 Fe 1.80-1.87
O  0.0964  0.3737  0.6972  2 Fe 1.80-1.87
O  0.5015  0.7870  0.9843  2 Fe 1.84-1.94
O  0.4985  0.2130  0.0157  2 Fe 1.84-1.94
O  0.2130  0.4985  0.0157  2 Fe 1.84-1.94
O  0.7870  0.5015  0.9843  2 Fe 1.84-1.94
O  0.1935  0.9542  0.1190  1 Fe 1.99, 2 Sn 2.09-2.10
O  0.8065  0.0458  0.8810  1 Fe 1.99, 2 Sn 2.09-2.10
O  0.0458  0.8065  0.8810  1 Fe 1.99, 2 Sn 2.09-2.10
O  0.9542  0.1935  0.1190  1 Fe 1.99, 2 Sn 2.09-2.10

Results
Magnetization   38.0 μB per formula unit
Crystal system   monoclinic

BaSr4Fe5O10: optimized geometry, PBE+U.

Cell: 4.0735 4.0735 17.7871 Å, 90.00 90.00 90.00°
Last column: nearest neighbours and their distance in Å.
Sites, in units of the cell vectors:
Ba  0.5000  0.5000  0.0000  8 O 2.82
Sr  0.5000  0.5000  0.2050  8 O 2.65-2.69
Sr  0.5000  0.5000  0.4011  8 O 2.68-2.69
Sr  0.5000  0.5000  0.5989  8 O 2.68-2.69
Sr  0.5000  0.5000  0.7950  8 O 2.65-2.69
Fe  0.0000  0.0000  0.8902  4 O 2.04
Fe  0.0000  0.0000  0.1098  4 O 2.04
Fe  0.0000  0.0000  0.3026  4 O 2.04
Fe  0.0000  0.0000  0.5000  4 O 2.04
Fe  0.0000  0.0000  0.6974  4 O 2.04
O  0.0000  0.5000  0.8905  2 Fe 2.04
O  0.0000  0.5000  0.1095  2 Fe 2.04
O  0.0000  0.5000  0.3036  2 Fe 2.04
O  0.0000  0.5000  0.5000  2 Fe 2.04
O  0.0000  0.5000  0.6964  2 Fe 2.04
O  0.5000  0.0000  0.8905  2 Fe 2.04
O  0.5000  0.0000  0.1095  2 Fe 2.04
O  0.5000  0.0000  0.3036  2 Fe 2.04
O  0.5000  0.0000  0.5000  2 Fe 2.04
O  0.5000  0.0000  0.6964  2 Fe 2.04

Results
Distance to the lowest polymorph of the same formula   9 meV per atom
Magnetization   20.0 μB per formula unit
Crystal system   tetragonal

Ba4SrFe5O15: optimized geometry, PBE+U.

Cell: 5.6651 5.6651 20.6637 Å, 82.11 82.11 89.97°
Last column: nearest neighbours and their distance in Å.
Sites, in units of the cell vectors:
Ba  0.3523  0.8523  0.2957  12 O 2.83-2.90
Ba  0.8523  0.3523  0.2957  12 O 2.83-2.90
Ba  0.0481  0.5481  0.9034  12 O 2.83-2.89
Ba  0.5481  0.0481  0.9034  12 O 2.83-2.89
Ba  0.2503  0.7503  0.4994  12 O 2.83-2.89
Ba  0.7503  0.2503  0.4994  12 O 2.83-2.89
Ba  0.1489  0.6489  0.7023  12 O 2.83-2.87
Ba  0.6489  0.1489  0.7023  12 O 2.83-2.87
Sr  0.4502  0.9502  0.0995  12 O 2.75-2.84
Sr  0.9502  0.4502  0.0995  12 O 2.75-2.84
Fe  0.2013  0.2013  0.5975  5 O 1.95-2.08
Fe  0.6998  0.6998  0.6005  6 O 1.99-2.06
Fe  0.4985  0.4985  0.0025  6 O 2.00-2.02
Fe  0.4017  0.4018  0.1969  6 O 1.92-2.00
Fe  0.9022  0.9022  0.1959  6 O 1.86-2.02
Fe  0.9983  0.9983  0.0029  6 O 2.01-2.06
Fe  0.3006  0.3007  0.3988  6 O 1.95-2.14
Fe  0.7992  0.7992  0.4018  5 O 1.95-2.04
Fe  0.0985  0.0985  0.8026  6 O 1.88-2.00
Fe  0.5986  0.5986  0.8027  6 O 2.01-2.05
O  0.4487  0.4487  0.1020  2 Fe 1.92-2.02
O  0.9493  0.9493  0.1021  2 Fe 1.90-2.01
O  0.3536  0.3536  0.2934  2 Fe 1.96-2.14
O  0.8563  0.8563  0.2874  1 Fe 1.86
O  0.0494  0.0494  0.9012  2 Fe 2.00-2.06
O  0.5486  0.5486  0.9027  2 Fe 2.02-2.03
O  0.2523  0.2524  0.4951  2 Fe 1.95-2.08
O  0.7486  0.7486  0.5025  2 Fe 1.99-2.04
O  0.1455  0.1455  0.7098  1 Fe 1.88
O  0.6491  0.6491  0.7018  2 Fe 2.05
O  0.4428  0.9561  0.6012  2 Fe 1.95-2.06
O  0.9561  0.4428  0.6012  2 Fe 1.95-2.06
O  0.9559  0.9559  0.6012  2 Fe 1.95-2.05
O  0.4430  0.4430  0.6012  2 Fe 1.95-2.06
O  0.7456  0.2475  0.0063  2 Fe 2.00-2.01
O  0.2475  0.7456  0.0063  2 Fe 2.00-2.01
O  0.6524  0.1554  0.1923  2 Fe 1.99-2.02
O  0.1554  0.6524  0.1923  2 Fe 1.99-2.02
O  0.2478  0.2478  0.0061  2 Fe 2.00-2.01
O  0.7457  0.7457  0.0061  2 Fe 2.00-2.01
O  0.1550  0.1550  0.1926  2 Fe 2.00-2.01
O  0.6527  0.6527  0.1924  2 Fe 2.00-2.01
O  0.5582  0.0455  0.3963  2 Fe 1.95-2.05
O  0.0455  0.5581  0.3963  2 Fe 1.96-2.05
O  0.3478  0.8487  0.8036  2 Fe 2.00-2.01
O  0.8487  0.3478  0.8036  2 Fe 2.00-2.01
O  0.0455  0.0455  0.3964  2 Fe 1.96-2.06
O  0.5581  0.5581  0.3964  2 Fe 1.96-2.05
O  0.8490  0.8490  0.8036  2 Fe 2.00-2.01
O  0.3475  0.3475  0.8037  2 Fe 2.00-2.01

Results
Distance to the lowest polymorph of the same formula   2 meV per atom
Magnetization   21.9 μB per formula unit
Crystal system   tetragonal

BaSrFe4O12: optimized geometry, PBE+U.

Cell: 5.4985 5.4985 7.7860 Å, 90.00 90.00 90.00°
Last column: nearest neighbours and their distance in Å.
Sites, in units of the cell vectors:
Ba  0.5000  0.5000  0.0000  12 O 2.75-2.81
Sr  0.0000  0.0000  0.5000  12 O 2.69-2.75
Fe  0.0000  0.5000  0.7483  6 O 1.93-1.96
Fe  0.0000  0.5000  0.2517  6 O 1.93-1.96
Fe  0.5000  0.0000  0.2517  6 O 1.93-1.96
Fe  0.5000  0.0000  0.7483  6 O 1.93-1.96
O  0.2453  0.2453  0.2557  2 Fe 1.94
O  0.2453  0.2453  0.7443  2 Fe 1.94
O  0.7547  0.7547  0.7443  2 Fe 1.94
O  0.7547  0.7547  0.2557  2 Fe 1.94
O  0.7547  0.2453  0.7443  2 Fe 1.94
O  0.7547  0.2453  0.2557  2 Fe 1.94
O  0.2453  0.7547  0.7443  2 Fe 1.94
O  0.2453  0.7547  0.2557  2 Fe 1.94
O  0.0000  0.5000  0.5000  2 Fe 1.93
O  0.0000  0.5000  0.0000  2 Fe 1.96
O  0.5000  0.0000  0.5000  2 Fe 1.93
O  0.5000  0.0000  0.0000  2 Fe 1.96

Results
Magnetization   20.2 μB per formula unit
Crystal system   tetragonal

no.,energy with MP2020 corrections (eV per atom),formation energy from the elements (kJ per mole of atoms)
1,-7.3112,-254.70
2,-7.8807,-244.52
3,-7.2763,-253.54
4,-7.6376,-188.02
5,-7.3935,-189.77
6,-7.2728,-216.84
7,-7.1915,-207.84
8,-6.8349,-140.25